# 1
Sr2YTlCo2O7: relaxed, GGA+U.

Output
magnetization	5.3	μB per formula unit
E_form	-2.282	eV per atom

Cell: 3.847 3.847 12.250 Å, 90.00 90.00 90.00°
Sites, in units of the cell vectors:
1 Sr 0.000 0.000 0.206
2 Sr 0.000 0.000 0.794
3 Y 0.000 0.000 0.500
4 Tl 0.500 0.500 0.000
5 Co 0.500 0.500 0.354
6 Co 0.500 0.500 0.646
7 O 0.000 0.000 0.000
8 O 0.000 0.500 0.381
9 O 0.000 0.500 0.619
10 O 0.500 0.000 0.381
11 O 0.500 0.000 0.619
12 O 0.500 0.500 0.181
13 O 0.500 0.500 0.819

---

# 2
Sr2UCoO6: relaxed, GGA+U.

Output
magnetization	1.0	μB per formula unit
E_form	-3.010	eV per atom

Cell: 5.839 5.868 10.085 Å, 90.00 125.02 90.00°
Sites, in units of the cell vectors:
1 Sr 0.238 0.033 0.248
2 Sr 0.238 0.467 0.748
3 Sr 0.762 0.533 0.252
4 Sr 0.762 0.967 0.752
5 U 0.500 0.000 0.000
6 U 0.500 0.500 0.500
7 Co 0.000 0.000 0.500
8 Co 0.000 0.500 0.000
9 O 0.180 0.216 0.960
10 O 0.180 0.284 0.460
11 O 0.241 0.722 0.956
12 O 0.241 0.778 0.456
13 O 0.332 0.019 0.754
14 O 0.332 0.481 0.254
15 O 0.668 0.519 0.746
16 O 0.668 0.981 0.246
17 O 0.759 0.222 0.544
18 O 0.759 0.278 0.044
19 O 0.820 0.716 0.540
20 O 0.820 0.784 0.040